1.
## Li3MnSi2O7 (PBE+U)

Data for a geometry-optimized Li3MnSi2O7 structure.

- space group = P1
- VASP energy (eV/atom) = -6.813
- E_form (eV per atom) = -2.67
- MP2020-corrected energy (eV per atom) = -7.311
- crystal system = triclinic
- piezoelectric modulus e_max (C/m2) = 1.16
- energy above the lowest structure with this stoichiometry (eV/atom) = 0.040
- mass density (Mg/m³) = 2.7

abc: 4.6653 5.3534 6.7593
angles: 99.34 90.85 115.63
Closest atoms and distances in Å follow each position.
Atoms (fractional coordinates):
Si (0.5846, 0.1551, 0.7125)  4 O 1.59-1.67
Si (0.4384, 0.8418, 0.2893)  4 O 1.60-1.68
Li (0.7139, 0.4226, 0.1509)  3 O 1.85-2.04
Li (0.2844, 0.5697, 0.8322)  2 O 1.88-2.08
Li (0.8374, 0.7045, 0.5517)  3 O 1.89-2.11
O (0.1350, 0.7499, 0.1173)  1 Si 1.66
O (0.3718, 0.2313, 0.8867)  1 Si 1.66
O (0.3402, 0.9821, 0.5027)  2 Si 1.67-1.68
O (0.7501, 0.0878, 0.2082)  1 Si 1.66
O (0.6880, 0.9196, 0.7850)  1 Si 1.67
O (0.5138, 0.5877, 0.3242)  1 Si 1.60
O (0.8828, 0.4406, 0.6896)  1 Si 1.59
Mn (0.0006, 0.0071, 0.0118)  4 O 1.90-1.96

---

2.
## MgTi2Mn2O6 (PBE+U)

Data for a geometry-optimized MgTi2Mn2O6 structure.

- space group = P-1
- VASP energy (eV/atom) = -7.909
- E_form (eV per atom) = -2.64
- MP2020-corrected energy (eV per atom) = -8.587
- crystal system = triclinic
- energy above the lowest structure with this stoichiometry (eV/atom) = 0.061
- mass density (Mg/m³) = 4.4

abc: 6.0912 6.1294 6.0078
angles: 50.49 50.60 50.67
Closest atoms and distances in Å follow each position.
Atoms (fractional coordinates):
Mn (0.6679, 0.6721, 0.6682)  6 O 2.19-2.30
Mn (0.3321, 0.3280, 0.3317)  6 O 2.19-2.30
O (0.2514, 0.5584, 0.9113)  1 Ti 2.01, 1 Mg 2.05, 1 Mn 2.19
O (0.5503, 0.9147, 0.2515)  2 Ti 2.06-2.18, 1 Mg 2.09, 2 Mn 2.21-2.28
O (0.4497, 0.0853, 0.7487)  2 Ti 2.06-2.18, 1 Mg 2.09, 2 Mn 2.21-2.28
O (0.9133, 0.2588, 0.5533)  2 Ti 2.04-2.14, 1 Mg 2.08, 1 Mn 2.19
O (0.0867, 0.7412, 0.4466)  2 Ti 2.04-2.14, 1 Mg 2.08, 1 Mn 2.19
O (0.7486, 0.4415, 0.0887)  1 Ti 2.01, 1 Mg 2.05, 1 Mn 2.19
Ti (0.1416, 0.1488, 0.1620)  5 O 2.01-2.18
Ti (0.8584, 0.8511, 0.8381)  5 O 2.01-2.18
Mg (0.5000, 0.5000, 0.5000)  6 O 2.05-2.09

---

3.
## NaFeS2O8 (PBE+U)

Data for a geometry-optimized NaFeS2O8 structure.

- VASP energy (eV/atom) = -6.111
- E_form (eV per atom) = -1.95
- MP2020-corrected energy (eV per atom) = -6.757
- energy above the lowest structure with this stoichiometry (eV/atom) = 0.000
- mass density (Mg/m³) = 2.9

abc: 8.1763 10.4647 8.6434
angles: 107.68 116.86 90.01
Closest atoms and distances in Å follow each position.
Atoms (fractional coordinates):
O (0.8636, 0.8153, 0.7969)  1 S 1.51
O (0.0837, 0.8987, 0.5982)  1 S 1.45
O (0.2047, 0.4836, 0.9355)  1 S 1.49
O (0.8638, 0.5826, 0.7980)  1 S 1.51
O (0.7954, 0.0166, 0.0647)  1 S 1.49
O (0.4163, 0.8513, 0.4018)  1 S 1.45
O (0.8639, 0.0825, 0.7981)  1 S 1.51
O (0.6361, 0.1675, 0.2020)  1 S 1.51
O (0.6362, 0.6675, 0.2020)  1 S 1.51
O (0.1363, 0.9175, 0.2021)  1 S 1.51
O (0.5838, 0.1484, 0.5980)  1 S 1.45
O (0.1365, 0.1848, 0.2032)  1 S 1.51
O (0.3635, 0.0652, 0.7970)  1 S 1.51
O (0.2953, 0.7665, 0.0644)  1 S 1.49
O (0.9162, 0.1016, 0.4021)  1 S 1.45
O (0.2951, 0.2662, 0.0642)  1 S 1.49
O (0.6365, 0.9348, 0.2032)  1 S 1.51
O (0.0838, 0.3985, 0.5981)  1 S 1.45
O (0.4163, 0.3514, 0.4018)  1 S 1.45
O (0.3638, 0.8325, 0.7980)  1 S 1.51
O (0.5838, 0.6485, 0.5980)  1 S 1.45
O (0.1364, 0.6847, 0.2029)  1 S 1.51
O (0.3638, 0.3325, 0.7980)  1 S 1.51
O (0.8635, 0.3152, 0.7968)  1 S 1.51
O (0.1362, 0.4175, 0.2019)  1 S 1.51
O (0.6364, 0.4347, 0.2031)  1 S 1.51
O (0.9163, 0.6014, 0.4018)  1 S 1.45
O (0.7046, 0.7334, 0.9354)  1 S 1.49
O (0.3636, 0.5653, 0.7970)  1 S 1.51
O (0.7046, 0.2334, 0.9354)  1 S 1.49
O (0.2047, 0.9836, 0.9357)  1 S 1.49
O (0.7952, 0.5165, 0.0644)  1 S 1.49
Fe (0.4998, 0.2499, 0.9999)  6 O 1.98-2.06
Fe (0.0001, 0.0002, 0.0003)  6 O 1.98-2.06
Fe (0.9999, 0.5001, 0.9999)  6 O 1.98-2.06
Fe (0.5001, 0.7501, 0.0002)  6 O 1.98-2.06
S (0.7468, 0.1940, 0.7780)  4 O 1.45-1.51
S (0.2533, 0.8059, 0.2219)  4 O 1.45-1.51
S (0.7468, 0.6941, 0.7780)  4 O 1.45-1.51
S (0.7532, 0.0560, 0.2221)  4 O 1.45-1.51
S (0.2467, 0.9440, 0.7781)  4 O 1.45-1.51
S (0.7532, 0.5559, 0.2219)  4 O 1.45-1.51
S (0.2532, 0.3060, 0.2219)  4 O 1.45-1.51
S (0.2468, 0.4441, 0.7780)  4 O 1.45-1.51
Na (0.2500, 0.6250, 0.5000)  6 O 2.45-2.58
Na (0.2500, 0.1250, 0.5001)  6 O 2.45-2.58
Na (0.7500, 0.3750, 0.5000)  6 O 2.45-2.58
Na (0.7500, 0.8750, 0.5001)  6 O 2.45-2.58

---

4.
## Na3FeBAsO7 (PBE+U)

Data for a geometry-optimized Na3FeBAsO7 structure.

- space group = P2_1/m
- VASP energy (eV/atom) = -6.070
- E_form (eV per atom) = -2.12
- MP2020-corrected energy (eV per atom) = -6.614
- crystal system = monoclinic
- mass density (Mg/m³) = 3.2

abc: 6.8677 5.2973 9.1154
angles: 88.89 90.00 90.00
Closest atoms and distances in Å follow each position.
Atoms (fractional coordinates):
Na (0.2500, 0.7558, 0.0727)  4 O 2.34-2.57
Na (0.4996, 0.7521, 0.7568)  4 O 2.26-2.49
Na (0.0004, 0.7521, 0.7568)  4 O 2.26-2.49
Na (0.7500, 0.2442, 0.9273)  4 O 2.34-2.57
Na (0.5004, 0.2479, 0.2432)  4 O 2.26-2.49
Na (0.9996, 0.2479, 0.2432)  4 O 2.26-2.49
Fe (0.2500, 0.2213, 0.6699)  6 O 2.00-2.10
Fe (0.7500, 0.7787, 0.3301)  6 O 2.00-2.10
B (0.7500, 0.7345, 0.0624)  3 O 1.35-1.42
B (0.2500, 0.2655, 0.9376)  3 O 1.35-1.42
O (0.7500, 0.6153, 0.5368)  1 As 1.74
O (0.0542, 0.7817, 0.3125)  1 As 1.72
O (0.7500, 0.1398, 0.4128)  1 As 1.71
O (0.4458, 0.7817, 0.3125)  1 As 1.72
O (0.7500, 0.5328, 0.1664)  1 B 1.42
O (0.2500, 0.2977, 0.0844)  1 B 1.35
O (0.9458, 0.2183, 0.6875)  1 As 1.72
O (0.7500, 0.9699, 0.1310)  1 B 1.41
O (0.7500, 0.7023, 0.9156)  1 B 1.35
O (0.2500, 0.3847, 0.4632)  1 As 1.74
O (0.2500, 0.0301, 0.8690)  1 B 1.41
O (0.5542, 0.2183, 0.6875)  1 As 1.72
O (0.2500, 0.4672, 0.8336)  1 B 1.42
O (0.2500, 0.8602, 0.5872)  1 As 1.71
As (0.7500, 0.2927, 0.5767)  4 O 1.71-1.74
As (0.2500, 0.7073, 0.4233)  4 O 1.71-1.74

---

5.
## Ba2CaCo2CuF14 (PBE+U)

Data for a geometry-optimized Ba2CaCo2CuF14 structure.

- space group = C2
- VASP energy (eV/atom) = -5.090
- E_form (eV per atom) = -3.03
- MP2020-corrected energy (eV per atom) = -5.577
- crystal system = monoclinic
- mass density (Mg/m³) = 4.5

abc: 7.4740 7.4740 14.9283
angles: 88.23 88.23 42.68
Closest atoms and distances in Å follow each position.
Atoms (fractional coordinates):
Cu (0.5055, 0.5010, 0.2509)  4 F 1.89-1.99
Cu (0.4990, 0.4945, 0.7491)  4 F 1.89-1.99
F (0.8474, 0.6547, 0.6516)  1 Co 1.83
F (0.3559, 0.9592, 0.9729)  1 Co 2.00
F (0.0408, 0.6441, 0.0271)  1 Co 2.00
F (0.1579, 0.3492, 0.8474)  1 Co 1.94
F (0.5073, 0.3863, 0.8674)  1 Cu 1.90
F (0.4229, 0.8198, 0.4595)  1 Co 1.96
F (0.6556, 0.0257, 0.5310)  1 Co 1.90
F (0.1183, 0.6055, 0.2038)  1 Co 1.94
F (0.9367, 0.0773, 0.5966)  1 Co 1.91
F (0.8221, 0.4186, 0.9575)  1 Co 1.93
F (0.0802, 0.9313, 0.0954)  1 Co 1.87
F (0.9227, 0.0633, 0.4034)  1 Co 1.91
F (0.6137, 0.4927, 0.1326)  1 Cu 1.90
F (0.8776, 0.3957, 0.2942)  1 Co 1.97
F (0.3945, 0.8817, 0.7962)  1 Co 1.94
F (0.1802, 0.5771, 0.5405)  1 Co 1.96
F (0.5000, 0.6079, 0.6343)  1 Cu 1.89
F (0.3453, 0.1526, 0.3484)  1 Co 1.83
F (0.0687, 0.9198, 0.9046)  1 Co 1.87
F (0.3921, 0.5000, 0.3657)  1 Cu 1.89
F (0.8678, 0.2969, 0.7667)  1 Cu 1.97, 1 Co 1.98
F (0.9743, 0.3444, 0.4690)  1 Co 1.90
F (0.3000, 0.8731, 0.2734)  1 Co 1.90, 1 Cu 1.99
F (0.5814, 0.1779, 0.0425)  1 Co 1.93
F (0.1269, 0.7000, 0.7266)  1 Co 1.90, 1 Cu 1.99
F (0.7031, 0.1322, 0.2333)  1 Cu 1.97, 1 Co 1.98
F (0.6508, 0.8421, 0.1526)  1 Co 1.94
F (0.6043, 0.1224, 0.7058)  1 Co 1.97
Ba (0.7438, 0.8820, 0.8727)  10 F 2.70-3.01
Ba (0.1180, 0.2562, 0.1273)  10 F 2.70-3.01
Ba (0.2615, 0.1200, 0.6276)  10 F 2.73-3.00
Ba (0.8800, 0.7385, 0.3724)  10 F 2.73-3.00
Ca (0.4170, 0.5830, 0.0000)  8 F 2.27-2.52
Ca (0.5794, 0.4206, 0.5000)  6 F 2.28-2.39
Co (0.1490, 0.0959, 0.3746)  6 F 1.83-1.97
Co (0.0923, 0.1461, 0.8742)  6 F 1.87-2.00
Co (0.8539, 0.9077, 0.1258)  6 F 1.87-2.00
Co (0.9040, 0.8510, 0.6254)  6 F 1.83-1.97

---

6.
## FeSO7 (PBE+U)

Data for a geometry-optimized FeSO7 structure.

- space group = P2_1/m
- VASP energy (eV/atom) = -5.640
- E_form (eV per atom) = -0.77
- MP2020-corrected energy (eV per atom) = -6.016
- crystal system = monoclinic
- energy above the lowest structure with this stoichiometry (eV/atom) = 0.016
- mass density (Mg/m³) = 2.3

abc: 6.6568 6.3949 7.1713
angles: 69.13 90.00 90.00
Closest atoms and distances in Å follow each position.
Atoms (fractional coordinates):
O (0.0630, 0.2429, 0.7610)  1 S 1.55
O (0.2500, 0.0163, 0.0984)  2 Fe 1.83
O (0.2500, 0.5646, 0.5601)  1 S 1.45
O (0.9370, 0.7571, 0.2390)  1 S 1.55
O (0.2500, 0.2205, 0.4758)  1 S 1.44
O (0.4370, 0.2429, 0.7610)  1 S 1.55
O (0.6564, 0.2548, 0.1139)  1 O 1.25
O (0.1564, 0.7452, 0.8861)  1 O 1.25
O (0.5630, 0.7571, 0.2390)  1 S 1.55
O (0.7500, 0.9837, 0.9016)  2 Fe 1.83
O (0.3436, 0.7452, 0.8861)  1 O 1.25
O (0.7500, 0.7795, 0.5242)  1 S 1.44
O (0.7500, 0.4354, 0.4399)  1 S 1.45
O (0.8436, 0.2548, 0.1139)  1 O 1.25
Fe (0.5000, 0.0000, 0.0000)  4 O 1.83-1.90
Fe (0.0000, 0.0000, 0.0000)  4 O 1.83-1.90
S (0.7500, 0.6770, 0.3750)  4 O 1.44-1.55
S (0.2500, 0.3230, 0.6250)  4 O 1.44-1.55